(1)
Below is a relaxed structure of YCuGe, with properties calculated at the r²SCAN level.

Cell lengths 4.081, 4.081, 4.038 Å; angles 90.00, 90.00, 120.00 degrees
Element x y z (fractional)
Y (0.000, 0.000, 0.000)
Cu (0.333, 0.667, 0.500)
Ge (0.667, 0.333, 0.500)

space group	P-6m2 (187)

(2)
Below is a relaxed structure of Ca2Mn3O8, with properties calculated at the r²SCAN level.

Cell lengths 6.241, 6.241, 4.940 Å; angles 107.28, 107.28, 55.70 degrees
Element x y z (fractional)
Ca (0.225, 0.225, 0.167)
Ca (0.775, 0.775, 0.833)
Mn (0.241, 0.759, 0.500)
Mn (0.500, 0.500, 0.000)
Mn (0.759, 0.241, 0.500)
O (0.103, 0.103, 0.458)
O (0.178, 0.623, 0.109)
O (0.377, 0.822, 0.891)
O (0.404, 0.404, 0.598)
O (0.596, 0.596, 0.402)
O (0.623, 0.178, 0.109)
O (0.822, 0.377, 0.891)
O (0.897, 0.897, 0.542)

space group	C2/m (12)

(3)
Below is a relaxed structure of Hf5Zr5Ga6, with properties calculated at the r²SCAN level.

Cell lengths 5.716, 8.016, 8.016 Å; angles 119.80, 90.00, 90.00 degrees
Element x y z (fractional)
Hf (0.000, 0.000, 0.000)
Hf (0.250, 0.087, 0.421)
Hf (0.250, 0.421, 0.087)
Hf (0.750, 0.087, 0.421)
Hf (0.750, 0.421, 0.087)
Zr (0.000, 0.512, 0.754)
Zr (0.000, 0.754, 0.512)
Zr (0.500, 0.508, 0.508)
Zr (0.500, 0.754, 0.996)
Zr (0.500, 0.996, 0.754)
Ga (0.000, 0.147, 0.755)
Ga (0.000, 0.359, 0.359)
Ga (0.000, 0.755, 0.147)
Ga (0.500, 0.148, 0.148)
Ga (0.500, 0.360, 0.754)
Ga (0.500, 0.754, 0.360)

space group	Amm2 (38)

(4)
Below is a relaxed structure of Ca2BrN, with properties calculated at the r²SCAN level.

Cell lengths 7.189, 7.189, 7.189 Å; angles 29.90, 29.90, 29.90 degrees
Element x y z (fractional)
Ca (0.226, 0.226, 0.226)
Ca (0.774, 0.774, 0.774)
Br (0.000, 0.000, 0.000)
N (0.500, 0.500, 0.500)

space group	R-3m (166)

(5)
Below is a relaxed structure of NdSi2Ni, with properties calculated at the r²SCAN level.

Cell lengths 8.452, 8.452, 4.046 Å; angles 90.00, 90.00, 151.63 degrees
Element x y z (fractional)
Nd (0.107, 0.893, 0.750)
Nd (0.893, 0.107, 0.250)
Si (0.250, 0.750, 0.250)
Si (0.459, 0.541, 0.750)
Si (0.541, 0.459, 0.250)
Si (0.750, 0.250, 0.750)
Ni (0.319, 0.681, 0.750)
Ni (0.681, 0.319, 0.250)

space group	Cmcm (63)

(6)
Below is a relaxed structure of TiP2O7, with properties calculated at the r²SCAN level.

Cell lengths 7.122, 8.132, 9.381 Å; angles 90.00, 109.60, 90.00 degrees
Element x y z (fractional)
Ti (0.220, 0.008, 0.256)
Ti (0.220, 0.492, 0.756)
Ti (0.780, 0.508, 0.244)
Ti (0.780, 0.992, 0.744)
P (0.180, 0.697, 0.451)
P (0.180, 0.803, 0.951)
P (0.421, 0.237, 0.557)
P (0.421, 0.263, 0.057)
P (0.579, 0.737, 0.943)
P (0.579, 0.763, 0.443)
P (0.820, 0.197, 0.049)
P (0.820, 0.303, 0.549)
O (0.050, 0.578, 0.336)
O (0.050, 0.922, 0.836)
O (0.141, 0.627, 0.896)
O (0.141, 0.873, 0.396)
O (0.168, 0.674, 0.607)
O (0.168, 0.826, 0.107)
O (0.290, 0.185, 0.400)
O (0.290, 0.315, 0.900)
O (0.308, 0.146, 0.123)
O (0.308, 0.354, 0.623)
O (0.402, 0.656, 0.461)
O (0.402, 0.844, 0.961)
O (0.489, 0.591, 0.844)
O (0.489, 0.909, 0.344)
O (0.511, 0.091, 0.656)
O (0.511, 0.409, 0.156)
O (0.598, 0.156, 0.039)
O (0.598, 0.344, 0.539)
O (0.692, 0.646, 0.377)
O (0.692, 0.854, 0.877)
O (0.710, 0.685, 0.100)
O (0.710, 0.815, 0.600)
O (0.832, 0.174, 0.893)
O (0.832, 0.326, 0.393)
O (0.859, 0.127, 0.604)
O (0.859, 0.373, 0.104)
O (0.950, 0.078, 0.164)
O (0.950, 0.422, 0.664)

ΔE to the lowest computed polymorph	0.007	eV/atom
space group	P2_1/c (14)

(7)
Below is a relaxed structure of Ce2In3Sn3, with properties calculated at the r²SCAN level.

Cell lengths 4.742, 4.843, 9.179 Å; angles 90.00, 90.00, 90.00 degrees
Element x y z (fractional)
Ce (0.000, 0.000, 0.246)
Ce (0.000, 0.000, 0.754)
In (0.000, 0.500, 0.500)
In (0.500, 0.500, 0.252)
In (0.500, 0.500, 0.748)
Sn (0.000, 0.500, 0.000)
Sn (0.500, 0.000, 0.000)
Sn (0.500, 0.000, 0.500)

space group	Pmmm (47)

(8)
Below is a relaxed structure of K2LaCl5, with properties calculated at the r²SCAN level.

Cell lengths 12.766, 8.865, 8.030 Å; angles 90.00, 90.00, 90.00 degrees
Element x y z (fractional)
K (0.172, 0.005, 0.048)
K (0.172, 0.495, 0.048)
K (0.328, 0.505, 0.548)
K (0.328, 0.995, 0.548)
K (0.672, 0.005, 0.452)
K (0.672, 0.495, 0.452)
K (0.828, 0.505, 0.952)
K (0.828, 0.995, 0.952)
La (0.007, 0.250, 0.578)
La (0.493, 0.750, 0.078)
La (0.507, 0.250, 0.922)
La (0.993, 0.750, 0.422)
Cl (0.007, 0.250, 0.931)
Cl (0.081, 0.543, 0.666)
Cl (0.081, 0.957, 0.666)
Cl (0.182, 0.250, 0.366)
Cl (0.209, 0.750, 0.330)
Cl (0.291, 0.250, 0.830)
Cl (0.318, 0.750, 0.866)
Cl (0.419, 0.043, 0.166)
Cl (0.419, 0.457, 0.166)
Cl (0.493, 0.750, 0.431)
Cl (0.507, 0.250, 0.569)
Cl (0.581, 0.543, 0.834)
Cl (0.581, 0.957, 0.834)
Cl (0.682, 0.250, 0.134)
Cl (0.709, 0.750, 0.170)
Cl (0.791, 0.250, 0.670)
Cl (0.818, 0.750, 0.634)
Cl (0.919, 0.043, 0.334)
Cl (0.919, 0.457, 0.334)
Cl (0.993, 0.750, 0.069)

space group	Pnma (62)

no.,calculated total energy (eV/atom),energy of formation (eV/atom),magnetic moment (μB/cell)
1,-15.74,-0.72,0.00
2,-10.70,-2.55,9.00
3,-26.07,-0.56,2.13
4,-10.76,-1.65,0.00
5,-15.59,-0.85,0.00
6,-9.98,-2.70,0.00
7,-26.03,-0.57,1.99
8,-11.54,-2.47,0.00